# PBE-GGA Li2TiCuO4, optimized geometry
data_Li2TiCuO4
_space_group_name_H-M_alt 'I m m a'
_space_group_IT_number 74
_space_group_name_Hall '-I 2b 2'
_cell_length_a 5.7283
_cell_length_b 5.7882
_cell_length_c 9.2666
_cell_angle_alpha 90.00
_cell_angle_beta 90.00
_cell_angle_gamma 90.00
loop_
_atom_site_label
_atom_site_fract_x
_atom_site_fract_y
_atom_site_fract_z
Li1 0.0000 0.0000 0.0000
Li2 0.2500 0.2500 0.2500
Ti1 0.0000 0.0000 0.5000
Cu1 0.2500 0.2500 0.7500
O1 0.0000 0.0174 0.7177
O2 0.2356 0.2500 0.4831
# Spin magnetization (μB/f.u.): 1.0
# ΔE to the lowest computed polymorph (meV/atom): 0
# Energy of formation (eV/atom): -2.38
# DFT total energy (eV for the cell shown): -207.7

# PBE-GGA Li5Ti2Cu3O10, optimized geometry
data_Li5Ti2Cu3O10
_space_group_name_H-M_alt 'P -1'
_space_group_IT_number 2
_cell_length_a 5.0997
_cell_length_b 5.5536
_cell_length_c 7.6485
_cell_angle_alpha 103.23
_cell_angle_beta 103.32
_cell_angle_gamma 105.82
loop_
_space_group_symop_operation_xyz
'x,y,z'
'-x,-y,-z'
loop_
_atom_site_label
_atom_site_fract_x
_atom_site_fract_y
_atom_site_fract_z
Li1 0.0000 0.0000 0.0000
Li2 0.0935 0.1935 0.7016
Li3 0.2910 0.6128 0.1157
Ti1 0.4044 0.8045 0.8060
Cu1 0.1978 0.3883 0.4002
Cu2 0.5000 0.0000 0.5000
O1 0.0425 0.6215 0.8344
O2 0.1470 0.8255 0.5673
O3 0.2836 0.9737 0.2548
O4 0.3714 0.1711 0.9549
O5 0.4416 0.4678 0.6591
# Spin magnetization (μB/f.u.): 0.0
# Energy of formation (eV/atom): -2.21
# DFT total energy (eV for the cell shown): -124.5

# PBE-GGA Li2ZrCuO4, optimized geometry
data_Li2ZrCuO4
_space_group_name_H-M_alt 'I -4 m 2'
_space_group_IT_number 119
_space_group_name_Hall 'I -4 -2'
_cell_length_a 4.2304
_cell_length_b 4.2304
_cell_length_c 9.0050
_cell_angle_alpha 90.00
_cell_angle_beta 90.00
_cell_angle_gamma 90.00
loop_
_atom_site_label
_atom_site_fract_x
_atom_site_fract_y
_atom_site_fract_z
Li1 0.0000 0.0000 0.0000
Li2 0.0000 0.5000 0.2500
Zr1 0.0000 0.5000 0.7500
Cu1 0.0000 0.0000 0.5000
O1 0.0000 0.0000 0.2470
O2 0.0000 0.5000 0.5129
# Spin magnetization (μB/f.u.): 0.3
# Energy of formation (eV/atom): -2.45
# DFT total energy (eV for the cell shown): -106.2

# PBE-GGA Li15Zr7Cu6O28, optimized geometry
data_Li15Zr7Cu6O28
_space_group_name_H-M_alt 'P 1'
_space_group_IT_number 1
_cell_length_a 5.4017
_cell_length_b 8.0749
_cell_length_c 13.1334
_cell_angle_alpha 88.78
_cell_angle_beta 80.85
_cell_angle_gamma 87.02
loop_
_space_group_symop_operation_xyz
'x,y,z'
loop_
_atom_site_label
_atom_site_fract_x
_atom_site_fract_y
_atom_site_fract_z
Li1 0.0000 0.0000 0.0000
Li2 0.0091 0.9541 0.6111
Li3 0.1581 0.2365 0.1823
Li4 0.1985 0.3084 0.5804
Li5 0.2933 0.5115 0.7581
Li6 0.3569 0.5988 0.1501
Li7 0.4347 0.8087 0.3290
Li8 0.4587 0.8721 0.7185
Li9 0.5742 0.0944 0.8978
Li10 0.5947 0.1532 0.2882
Li11 0.7207 0.3712 0.4735
Li12 0.7895 0.4603 0.8660
Li13 0.8652 0.6569 0.0399
Li14 0.8882 0.7299 0.4344
Li15 0.9356 0.8075 0.8246
Zr1 0.1053 0.1554 0.7916
Zr2 0.2714 0.4488 0.3654
Zr3 0.4088 0.7355 0.9328
Zr4 0.5371 0.0194 0.5047
Zr5 0.6908 0.3079 0.0719
Zr6 0.8321 0.5920 0.6515
Zr7 0.9579 0.8729 0.2208
Cu1 0.0740 0.0953 0.3959
Cu2 0.2264 0.3756 0.9698
Cu3 0.3588 0.6613 0.5432
Cu4 0.4922 0.9487 0.1111
Cu5 0.6542 0.2331 0.6858
Cu6 0.8085 0.5133 0.2560
O1 0.0116 0.4289 0.1032
O2 0.0527 0.5220 0.5070
O3 0.1065 0.6550 0.2900
O4 0.1152 0.5824 0.9070
O5 0.1412 0.7229 0.6747
O6 0.1964 0.8122 0.0797
O7 0.2219 0.9028 0.4643
O8 0.2389 0.9382 0.8608
O9 0.2649 0.0144 0.2526
O10 0.3222 0.0881 0.6475
O11 0.3676 0.1900 0.0403
O12 0.4004 0.2964 0.8332
O13 0.4204 0.2417 0.4357
O14 0.4975 0.3809 0.2224
O15 0.5402 0.4372 0.6226
O16 0.5520 0.5908 0.4080
O17 0.5724 0.5293 0.0081
O18 0.6314 0.6688 0.7934
O19 0.6668 0.7972 0.5754
O20 0.6750 0.7228 0.1901
O21 0.6933 0.8741 0.9734
O22 0.7346 0.9403 0.3597
O23 0.7967 0.0789 0.1461
O24 0.7997 0.0384 0.7505
O25 0.8531 0.1495 0.5318
O26 0.8763 0.2216 0.9317
O27 0.9681 0.3117 0.3289
O28 0.9810 0.3803 0.7222
# Spin magnetization (μB/f.u.): 3.0
# Energy of formation (eV/atom): -2.50
# DFT total energy (eV for the cell shown): -372.3

# PBE-GGA LiCu2P2, optimized geometry
data_LiCu2P2
_space_group_name_H-M_alt 'I 4/m m m'
_space_group_IT_number 139
_space_group_name_Hall '-I 4 2'
_cell_length_a 3.8841
_cell_length_b 3.8841
_cell_length_c 9.5326
_cell_angle_alpha 90.00
_cell_angle_beta 90.00
_cell_angle_gamma 90.00
loop_
_atom_site_label
_atom_site_fract_x
_atom_site_fract_y
_atom_site_fract_z
Li1 0.0000 0.0000 0.0000
Cu1 0.0000 0.5000 0.2500
P1 0.0000 0.0000 0.3873
# Energy of formation (eV/atom): -0.32
# DFT total energy (eV for the cell shown): -45.1

# PBE-GGA LiSmCu2P2, optimized geometry
data_LiSmCu2P2
_space_group_name_H-M_alt 'P -3 m 1'
_space_group_IT_number 164
_space_group_name_Hall '-P 3 2"'
_cell_length_a 4.0122
_cell_length_b 4.0122
_cell_length_c 6.6657
_cell_angle_alpha 90.00
_cell_angle_beta 90.00
_cell_angle_gamma 120.00
loop_
_atom_site_label
_atom_site_fract_x
_atom_site_fract_y
_atom_site_fract_z
Li1 0.0000 0.0000 0.0000
Sm1 0.0000 0.0000 0.5000
Cu1 0.3333 0.6667 0.8407
P1 0.3333 0.6667 0.2326
# Spin magnetization (μB/f.u.): 0.0
# Energy of formation (eV/atom): -0.80
# DFT total energy (eV for the cell shown): -30.5

# PBE-GGA LiCuPd2, optimized geometry
data_LiCuPd2
_space_group_name_H-M_alt 'F m -3 m'
_space_group_IT_number 225
_space_group_name_Hall '-F 4 2 3'
_cell_length_a 6.0165
_cell_length_b 6.0165
_cell_length_c 6.0165
_cell_angle_alpha 90.00
_cell_angle_beta 90.00
_cell_angle_gamma 90.00
loop_
_atom_site_label
_atom_site_fract_x
_atom_site_fract_y
_atom_site_fract_z
Li1 0.0000 0.0000 0.0000
Cu1 0.0000 0.0000 0.5000
Pd1 0.2500 0.2500 0.2500
# Energy of formation (eV/atom): -0.30
# DFT total energy (eV for the cell shown): -70.2

# PBE-GGA Li3CuS2, optimized geometry
data_Li3CuS2
_space_group_name_H-M_alt 'I 41/a m d'
_space_group_IT_number 141
_cell_length_a 7.8977
_cell_length_b 7.8977
_cell_length_c 11.9871
_cell_angle_alpha 90.00
_cell_angle_beta 90.00
_cell_angle_gamma 90.00
loop_
_space_group_symop_operation_xyz
'x,y,z'
'-x,-y,-z'
'-y+1/4,x+3/4,z+1/4'
'y+1/4,-x+3/4,-z+1/4'
'-x+1/2,-y,z+1/2'
'x+1/2,y,-z+1/2'
'y+1/4,-x+1/4,z+3/4'
'-y+1/4,x+1/4,-z+3/4'
'x,-y,-z'
'-x,y,z'
'-y+1/4,-x+1/4,-z+3/4'
'y+1/4,x+1/4,z+3/4'
'-x+1/2,y,-z+1/2'
'x+1/2,-y,z+1/2'
'y+1/4,x+3/4,-z+1/4'
'-y+1/4,-x+3/4,z+1/4'
'x+1/2,y+1/2,z+1/2'
'-x+1/2,-y+1/2,-z+1/2'
'-y+3/4,x+1/4,z+3/4'
'y+3/4,-x+1/4,-z+3/4'
'-x,-y+1/2,z'
'x,y+1/2,-z'
'y+3/4,-x+3/4,z+1/4'
'-y+3/4,x+3/4,-z+1/4'
'x+1/2,-y+1/2,-z+1/2'
'-x+1/2,y+1/2,z+1/2'
'-y+3/4,-x+3/4,-z+1/4'
'y+3/4,x+3/4,z+1/4'
'-x,y+1/2,-z'
'x,-y+1/2,z'
'y+3/4,x+1/4,-z+3/4'
'-y+3/4,-x+1/4,z+3/4'
loop_
_atom_site_label
_atom_site_fract_x
_atom_site_fract_y
_atom_site_fract_z
Li1 0.0000 0.0000 0.0000
Li2 0.2124 0.0376 0.3750
Cu1 0.0000 0.2500 0.2275
S1 0.0000 0.0204 0.7697
# Spin magnetization (μB/f.u.): 0.0
# Energy of formation (eV/atom): -1.14
# DFT total energy (eV for the cell shown): -191.6

# PBE-GGA Li3CuS2, optimized geometry
data_Li3CuS2
_space_group_name_H-M_alt 'R -3 c'
_space_group_IT_number 167
_space_group_name_Hall '-R 3 2"c'
_cell_length_a 6.6385
_cell_length_b 6.6385
_cell_length_c 15.4150
_cell_angle_alpha 90.00
_cell_angle_beta 90.00
_cell_angle_gamma 120.00
loop_
_atom_site_label
_atom_site_fract_x
_atom_site_fract_y
_atom_site_fract_z
Li1 0.0000 0.2768 0.2500
Cu1 0.0000 0.0000 0.0000
S1 0.0000 0.0000 0.1380
# Spin magnetization (μB/f.u.): 0.0
# Energy of formation (eV/atom): -1.15
# DFT total energy (eV for the cell shown): -144.1

# PBE-GGA Li10Cu4S9, optimized geometry
data_Li10Cu4S9
_space_group_name_H-M_alt 'P 42/n m c'
_space_group_IT_number 137
_cell_length_a 11.5916
_cell_length_b 11.5916
_cell_length_c 5.6591
_cell_angle_alpha 90.00
_cell_angle_beta 90.00
_cell_angle_gamma 90.00
loop_
_space_group_symop_operation_xyz
'x,y,z'
'-x,-y,-z'
'-y+1/2,x,z+1/2'
'y+1/2,-x,-z+1/2'
'-x+1/2,-y+1/2,z'
'x+1/2,y+1/2,-z'
'y,-x+1/2,z+1/2'
'-y,x+1/2,-z+1/2'
'x+1/2,-y,-z'
'-x+1/2,y,z'
'-y,-x,-z+1/2'
'y,x,z+1/2'
'-x,y+1/2,-z'
'x,-y+1/2,z'
'y+1/2,x+1/2,-z+1/2'
'-y+1/2,-x+1/2,z+1/2'
loop_
_atom_site_label
_atom_site_fract_x
_atom_site_fract_y
_atom_site_fract_z
Li1 0.0650 0.1014 0.0346
Li2 0.2500 0.2500 0.0765
Cu1 0.0956 0.7500 0.4936
S1 0.0832 0.2500 0.3258
S2 0.0897 0.5897 0.2500
S3 0.2500 0.7500 0.7500
# Spin magnetization (μB/f.u.): 0.7
# Energy of formation (eV/atom): -1.04
# DFT total energy (eV for the cell shown): -184.4

# PBE-GGA Li3CuS3, optimized geometry
data_Li3CuS3
_space_group_name_H-M_alt 'P 42/m n m'
_space_group_IT_number 136
_space_group_name_Hall '-P 4n 2n'
_cell_length_a 10.7860
_cell_length_b 10.7860
_cell_length_c 4.4917
_cell_angle_alpha 90.00
_cell_angle_beta 90.00
_cell_angle_gamma 90.00
loop_
_atom_site_label
_atom_site_fract_x
_atom_site_fract_y
_atom_site_fract_z
Li1 0.1095 0.3589 0.0000
Li2 0.1619 0.1619 0.5000
Cu1 0.1129 0.8871 0.0000
S1 0.0947 0.0947 0.0000
S2 0.1109 0.6797 0.0000
# Spin magnetization (μB/f.u.): 0.0
# Energy of formation (eV/atom): -1.04
# DFT total energy (eV for the cell shown): -112.2

# PBE-GGA Li3CuS2, optimized geometry
data_Li3CuS2
_space_group_name_H-M_alt 'P b c n'
_space_group_IT_number 60
_cell_length_a 5.2930
_cell_length_b 12.0767
_cell_length_c 5.3378
_cell_angle_alpha 90.00
_cell_angle_beta 90.00
_cell_angle_gamma 90.00
loop_
_space_group_symop_operation_xyz
'x,y,z'
'-x,-y,-z'
'-x+1/2,-y+1/2,z+1/2'
'x+1/2,y+1/2,-z+1/2'
'x+1/2,-y+1/2,-z'
'-x+1/2,y+1/2,z'
'-x,y,-z+1/2'
'x,-y,z+1/2'
loop_
_atom_site_label
_atom_site_fract_x
_atom_site_fract_y
_atom_site_fract_z
Li1 0.0000 0.2487 0.2500
Li2 0.2411 0.0722 0.5159
Cu1 0.0000 0.2554 0.7500
S1 0.2475 0.1283 0.9956
# Spin magnetization (μB/f.u.): 0.0
# Energy of formation (eV/atom): -1.17
# DFT total energy (eV for the cell shown): -96.4

| no. | V (Å³/atom) |
| --- | --- |
| 1 | 9.6 |
| 2 | 9.6 |
| 3 | 10.1 |
| 4 | 10.1 |
| 5 | 14.4 |
| 6 | 15.5 |
| 7 | 13.6 |
| 8 | 15.6 |
| 9 | 16.3 |
| 10 | 16.5 |
| 11 | 18.7 |
| 12 | 14.2 |